Record 1
BaSrNbSbO6 PBE optimized geometry; formation energy = -2773 meV per atom; distance to the lowest polymorph of the same formula = 72 meV per atom; E_tot = -7.11 eV/atom
1.0
0.000 4.277 4.277
4.277 0.000 4.277
4.277 4.277 0.000
Ba Sr Nb Sb O
1 1 1 1 6
direct
0.000 0.000 0.000 Ba
0.500 0.500 0.500 Sr
0.750 0.750 0.750 Nb
0.250 0.250 0.250 Sb
0.514 0.514 0.986 O
0.514 0.986 0.514 O
0.514 0.986 0.986 O
0.986 0.514 0.514 O
0.986 0.514 0.986 O
0.986 0.986 0.514 O

---

Record 2
Na3SbCl6 PBE optimized geometry; formation energy = -1640 meV per atom; magnetic moment = 0.000 μB/atom; E_tot = -3.19 eV/atom
1.0
0.000 5.345 5.345
5.345 0.000 5.345
5.345 5.345 0.000
Na Sb Cl
3 1 6
direct
0.000 0.000 0.000 Na
0.250 0.250 0.250 Na
0.750 0.750 0.750 Na
0.500 0.500 0.500 Sb
0.253 0.253 0.747 Cl
0.253 0.747 0.253 Cl
0.253 0.747 0.747 Cl
0.747 0.253 0.253 Cl
0.747 0.253 0.747 Cl
0.747 0.747 0.253 Cl

---

Record 3
Rb3MnBr5 PBE optimized geometry; formation energy = -1760 meV per atom; E_tot = -3.72 eV/atom
1.0
-4.720 4.720 7.710
4.720 -4.720 7.710
4.720 4.720 -7.710
Rb Mn Br
6 2 10
direct
0.167 0.667 0.834 Rb
0.250 0.250 0.000 Rb
0.333 0.167 0.500 Rb
0.667 0.833 0.500 Rb
0.750 0.750 0.000 Rb
0.833 0.333 0.166 Rb
0.250 0.750 0.500 Mn
0.750 0.250 0.500 Mn
0.000 0.000 0.000 Br
0.005 0.798 0.500 Br
0.202 0.702 0.207 Br
0.298 0.505 0.500 Br
0.495 0.995 0.793 Br
0.500 0.500 0.000 Br
0.505 0.005 0.207 Br
0.702 0.495 0.500 Br
0.798 0.298 0.793 Br
0.995 0.202 0.500 Br

---

Record 4
KU2P3O12 PBE optimized geometry; formation energy = -3118 meV per atom; magnetic moment = 0.222 μB/atom; distance to the lowest polymorph of the same formula = 0 meV per atom; E_tot = -8.18 eV/atom
1.0
4.618 2.666 8.377
-4.618 2.666 8.377
0.000 -5.333 8.377
K U P O
2 4 6 24
direct
0.000 0.000 0.000 K
0.500 0.500 0.500 K
0.150 0.150 0.150 U
0.350 0.350 0.350 U
0.650 0.650 0.650 U
0.850 0.850 0.850 U
0.044 0.750 0.456 P
0.250 0.544 0.956 P
0.456 0.044 0.750 P
0.544 0.956 0.250 P
0.750 0.456 0.044 P
0.956 0.250 0.544 P
0.014 0.768 0.617 O
0.072 0.915 0.291 O
0.085 0.709 0.928 O
0.117 0.268 0.514 O
0.209 0.585 0.428 O
0.232 0.383 0.986 O
0.268 0.514 0.117 O
0.291 0.072 0.915 O
0.383 0.986 0.232 O
0.415 0.572 0.791 O
0.428 0.209 0.585 O
0.486 0.883 0.732 O
0.514 0.117 0.268 O
0.572 0.791 0.415 O
0.585 0.428 0.209 O
0.617 0.014 0.768 O
0.709 0.928 0.085 O
0.732 0.486 0.883 O
0.768 0.617 0.014 O
0.791 0.415 0.572 O
0.883 0.732 0.486 O
0.915 0.291 0.072 O
0.928 0.085 0.709 O
0.986 0.232 0.383 O

---

formation energy of number 3 (Rb3MnBr5)? -1760 meV per atom